(1)
VASP calculation (PBE-GGA) on TbP5O14 after structural relaxation.

Values from the calculation:
Its crystal system is monoclinic. The corrected total energy (MP2020 scheme) is -157.444 eV per formula unit. As for the space group: P2_1/c, No. 14.

Lattice parameters (Å, degrees): 9.017 8.836 13.010 89.55 90.00 90.00
Fractional coordinates of all 80 atoms:
Tb1 0.688 0.777 0.501
Tb2 0.188 0.223 0.999
Tb3 0.312 0.223 0.499
Tb4 0.812 0.777 0.001
P1 0.503 0.506 0.329
P2 0.003 0.494 0.171
P3 0.497 0.494 0.671
P4 0.997 0.506 0.829
P5 0.455 0.746 0.165
P6 0.955 0.254 0.335
P7 0.545 0.254 0.835
P8 0.045 0.746 0.665
P9 0.244 0.817 0.000
P10 0.744 0.183 0.500
P11 0.756 0.183 0.000
P12 0.256 0.817 0.500
P13 0.450 0.728 0.836
P14 0.950 0.272 0.664
P15 0.550 0.272 0.164
P16 0.050 0.728 0.336
P17 0.495 0.992 0.700
P18 0.995 0.008 0.800
P19 0.505 0.008 0.300
P20 0.005 0.992 0.200
O1 0.384 0.416 0.380
O2 0.884 0.584 0.120
O3 0.616 0.584 0.620
O4 0.116 0.416 0.880
O5 0.623 0.581 0.388
O6 0.123 0.419 0.112
O7 0.377 0.419 0.612
O8 0.877 0.581 0.888
O9 0.421 0.633 0.256
O10 0.921 0.367 0.244
O11 0.579 0.367 0.744
O12 0.079 0.633 0.756
O13 0.596 0.724 0.110
O14 0.096 0.276 0.390
O15 0.404 0.276 0.890
O16 0.904 0.724 0.610
O17 0.310 0.723 0.099
O18 0.810 0.277 0.401
O19 0.690 0.277 0.901
O20 0.082 0.789 0.000
O21 0.190 0.723 0.599
O22 0.810 0.028 0.505
O23 0.690 0.028 0.005
O24 0.190 0.972 0.495
O25 0.118 0.086 0.145
O26 0.618 0.914 0.355
O27 0.882 0.914 0.855
O28 0.382 0.086 0.645
O29 0.884 0.911 0.147
O30 0.384 0.089 0.353
O31 0.116 0.089 0.853
O32 0.616 0.911 0.647
O33 0.097 0.874 0.271
O34 0.597 0.126 0.229
O35 0.903 0.126 0.729
O36 0.403 0.874 0.771
O37 0.927 0.092 0.289
O38 0.427 0.908 0.211
O39 0.073 0.908 0.711
O40 0.573 0.092 0.789
O41 0.902 0.733 0.385
O42 0.402 0.267 0.115
O43 0.098 0.267 0.615
O44 0.598 0.733 0.885
O45 0.186 0.709 0.411
O46 0.686 0.291 0.089
O47 0.814 0.291 0.589
O48 0.314 0.709 0.911
O49 0.082 0.592 0.261
O50 0.582 0.408 0.239
O51 0.918 0.408 0.739
O52 0.418 0.592 0.761
O53 0.418 0.789 0.500
O54 0.918 0.211 0.000
O55 0.582 0.211 0.500
O56 0.310 0.972 0.995



(2)
VASP calculation (PBE-GGA) on CsSnCl3 after structural relaxation.

Values from the calculation:
Its crystal system is cubic. The corrected total energy (MP2020 scheme) is -19.489 eV per formula unit. As for the space group: Pm-3m, No. 221.

Lattice parameters (Å, degrees): 5.625 5.625 5.625 90.00 90.00 90.00
Fractional coordinates of all 5 atoms:
Cs1 0.000 0.000 0.000
Sn1 0.500 0.500 0.500
Cl1 0.000 0.500 0.500
Cl2 0.500 0.500 0.000
Cl3 0.500 0.000 0.500



(3)
VASP calculation (PBE-GGA) on Ce5Sn3 after structural relaxation.

Values from the calculation:
The calculation puts the distance to the lowest polymorph of the same formula at 49 meV/atom. Its crystal system is orthorhombic. As for the space group: Cmcm, No. 63.

Lattice parameters (Å, degrees): 6.812 9.381 9.398 119.94 90.00 90.00
Fractional coordinates of all 16 atoms:
Ce1 0.500 0.333 0.667
Ce2 0.500 0.667 0.333
Ce3 0.000 0.667 0.333
Ce4 0.000 0.333 0.667
Ce5 0.750 0.251 0.000
Ce6 0.750 0.749 0.749
Ce7 0.750 0.000 0.251
Ce8 0.250 0.749 0.000
Ce9 0.250 0.251 0.251
Ce10 0.250 0.000 0.749
Sn1 0.750 0.610 0.000
Sn2 0.750 0.390 0.390
Sn3 0.750 0.000 0.610
Sn4 0.250 0.390 0.000
Sn5 0.250 0.610 0.610
Sn6 0.250 0.000 0.390



(4)
VASP calculation (PBE-GGA) on NaLa3MgS6O24 after structural relaxation.

Values from the calculation:
Its crystal system is trigonal. The corrected total energy (MP2020 scheme) is -250.593 eV per formula unit. As for the space group: P3, No. 143.

Lattice parameters (Å, degrees): 9.380 9.380 24.623 90.00 90.00 120.00
Fractional coordinates of all 105 atoms:
Na1 0.000 0.000 0.993
Na2 0.667 0.333 0.840
Na3 0.667 0.333 0.333
La1 0.000 0.000 0.647
La2 0.000 0.000 0.147
La3 0.667 0.333 0.688
La4 0.667 0.333 0.186
La5 0.667 0.333 0.480
La6 0.333 0.667 0.017
La7 0.333 0.667 0.516
La8 0.333 0.667 0.312
La9 0.333 0.667 0.817
Mg1 0.000 0.000 0.354
Mg2 0.000 0.000 0.850
Mg3 0.667 0.333 0.983
S1 0.286 0.005 0.255
S2 0.719 0.714 0.255
S3 0.995 0.281 0.255
S4 0.286 0.283 0.755
S5 0.997 0.714 0.755
S6 0.717 0.003 0.755
S7 0.962 0.335 0.583
S8 0.373 0.038 0.583
S9 0.665 0.627 0.583
S10 0.950 0.620 0.079
S11 0.670 0.050 0.079
S12 0.380 0.330 0.079
S13 0.644 0.667 0.917
S14 0.023 0.356 0.917
S15 0.333 0.977 0.917
S16 0.643 0.964 0.413
S17 0.321 0.357 0.413
S18 0.036 0.679 0.413
O1 0.199 0.022 0.301
O2 0.823 0.801 0.301
O3 0.978 0.177 0.301
O4 0.198 0.178 0.802
O5 0.979 0.802 0.802
O6 0.822 0.021 0.802
O7 0.788 0.985 0.703
O8 0.197 0.212 0.703
O9 0.015 0.803 0.703
O10 0.791 0.803 0.203
O11 0.013 0.209 0.203
O12 0.197 0.987 0.203
O13 0.882 0.357 0.632
O14 0.475 0.118 0.632
O15 0.643 0.525 0.632
O16 0.878 0.529 0.130
O17 0.651 0.122 0.130
O18 0.471 0.349 0.130
O19 0.468 0.313 0.032
O20 0.844 0.532 0.032
O21 0.687 0.156 0.032
O22 0.453 0.140 0.535
O23 0.688 0.547 0.535
O24 0.860 0.312 0.535
O25 0.564 0.695 0.965
O26 0.131 0.436 0.965
O27 0.305 0.869 0.965
O28 0.564 0.867 0.463
O29 0.303 0.436 0.463
O30 0.133 0.697 0.463
O31 0.116 0.646 0.366
O32 0.529 0.884 0.366
O33 0.354 0.471 0.366
O34 0.102 0.464 0.868
O35 0.362 0.898 0.868
O36 0.536 0.638 0.868
O37 0.020 0.824 0.404
O38 0.804 0.980 0.404
O39 0.176 0.196 0.404
O40 0.009 0.192 0.908
O41 0.184 0.991 0.908
O42 0.808 0.816 0.908
O43 0.978 0.188 0.590
O44 0.210 0.022 0.590
O45 0.812 0.790 0.590
O46 0.967 0.787 0.083
O47 0.820 0.033 0.083
O48 0.213 0.180 0.083
O49 0.699 0.153 0.751
O50 0.454 0.301 0.751
O51 0.847 0.546 0.751
O52 0.700 0.545 0.250
O53 0.845 0.300 0.250
O54 0.455 0.155 0.250
O55 0.658 0.517 0.925
O56 0.859 0.342 0.925
O57 0.483 0.141 0.925
O58 0.658 0.131 0.419
O59 0.473 0.342 0.419
O60 0.869 0.527 0.419
O61 0.360 0.476 0.073
O62 0.116 0.640 0.073
O63 0.524 0.884 0.073
O64 0.357 0.875 0.577
O65 0.518 0.643 0.577
O66 0.125 0.482 0.577
O67 0.307 0.860 0.259
O68 0.553 0.693 0.259
O69 0.140 0.447 0.259
O70 0.307 0.450 0.761
O71 0.143 0.693 0.761
O72 0.550 0.857 0.761



(5)
VASP calculation (PBE-GGA) on ZrCrP after structural relaxation.

Values from the calculation:
For the electronic total energy, the calculation gives -8.771 eV per atom. Its crystal system is orthorhombic. As for the space group: Pnma, No. 62.

Lattice parameters (Å, degrees): 3.660 6.441 7.604 90.00 90.00 90.00
Fractional coordinates of all 12 atoms:
Zr1 0.250 0.535 0.172
Zr2 0.750 0.465 0.828
Zr3 0.750 0.965 0.672
Zr4 0.250 0.035 0.328
Cr1 0.250 0.631 0.554
Cr2 0.750 0.369 0.446
Cr3 0.750 0.869 0.054
Cr4 0.250 0.131 0.946
P1 0.250 0.767 0.865
P2 0.750 0.233 0.135
P3 0.750 0.733 0.365
P4 0.250 0.267 0.635